(1)
Density functional theory data (GGA-PBE) for crystalline CsCuTeS3 at its relaxed geometry.

total magnetization: 0.0 μB/cell
SG: P2_13 (198)
largest piezoelectric modulus: 0.074 C/m2
total energy: -3.89 eV per atom
V: 194.3 Å³/f.u.
calculated formation energy: -69.3 kJ/mol of atoms
energy with MP2020 corrections: -4.143 eV/atom

abc: 9.194 9.194 9.194
angles: 90.00 90.00 90.00
Fractional positions:
1 Cs 0.082 0.418 0.582
2 Cs 0.418 0.582 0.082
3 Cs 0.582 0.082 0.418
4 Cs 0.918 0.918 0.918
5 Cu 0.147 0.147 0.147
6 Cu 0.353 0.853 0.647
7 Cu 0.647 0.353 0.853
8 Cu 0.853 0.647 0.353
9 Te 0.071 0.929 0.429
10 Te 0.429 0.071 0.929
11 Te 0.571 0.571 0.571
12 Te 0.929 0.429 0.071
13 S 0.032 0.637 0.189
14 S 0.137 0.311 0.968
15 S 0.189 0.032 0.637
16 S 0.311 0.968 0.137
17 S 0.363 0.689 0.468
18 S 0.468 0.363 0.689
19 S 0.532 0.863 0.811
20 S 0.637 0.189 0.032
21 S 0.689 0.468 0.363
22 S 0.811 0.532 0.863
23 S 0.863 0.811 0.532
24 S 0.968 0.137 0.311

---

(2)
Density functional theory data (GGA-PBE) for crystalline Cs3CuTeS9 at its relaxed geometry.

total magnetization: 0.0 μB/cell
SG: Cmce (64)
total energy: -3.88 eV per atom
V: 456.7 Å³/f.u.
calculated formation energy: -80.1 kJ/mol of atoms
energy with MP2020 corrections: -4.199 eV/atom

abc: 12.866 12.866 12.330
angles: 90.00 90.00 63.52
Fractional positions:
1 Cs 0.036 0.964 0.834
2 Cs 0.053 0.646 0.324
3 Cs 0.146 0.553 0.824
4 Cs 0.354 0.947 0.324
5 Cs 0.447 0.854 0.824
6 Cs 0.464 0.536 0.334
7 Cs 0.536 0.464 0.666
8 Cs 0.553 0.146 0.176
9 Cs 0.646 0.053 0.676
10 Cs 0.854 0.447 0.176
11 Cs 0.947 0.354 0.676
12 Cs 0.964 0.036 0.166
13 Cu 0.068 0.068 0.500
14 Cu 0.432 0.432 0.000
15 Cu 0.568 0.568 0.000
16 Cu 0.932 0.932 0.500
17 Te 0.231 0.769 0.575
18 Te 0.269 0.731 0.075
19 Te 0.731 0.269 0.925
20 Te 0.769 0.231 0.425
21 S 0.065 0.183 0.356
22 S 0.076 0.332 0.403
23 S 0.080 0.753 0.044
24 S 0.118 0.882 0.419
25 S 0.168 0.424 0.097
26 S 0.183 0.065 0.644
27 S 0.203 0.251 0.081
28 S 0.247 0.920 0.044
29 S 0.249 0.297 0.419
30 S 0.251 0.203 0.919
31 S 0.253 0.580 0.544
32 S 0.297 0.249 0.581
33 S 0.317 0.435 0.144
34 S 0.332 0.076 0.597
35 S 0.382 0.618 0.919
36 S 0.420 0.747 0.544
37 S 0.424 0.168 0.903
38 S 0.435 0.317 0.856
39 S 0.565 0.683 0.144
40 S 0.576 0.832 0.097
41 S 0.580 0.253 0.456
42 S 0.618 0.382 0.081
43 S 0.668 0.924 0.403
44 S 0.683 0.565 0.856
45 S 0.703 0.751 0.419
46 S 0.747 0.420 0.456
47 S 0.749 0.797 0.081
48 S 0.751 0.703 0.581
49 S 0.753 0.080 0.956
50 S 0.797 0.749 0.919
51 S 0.817 0.935 0.356
52 S 0.832 0.576 0.903
53 S 0.882 0.118 0.581
54 S 0.920 0.247 0.956
55 S 0.924 0.668 0.597
56 S 0.935 0.817 0.644

---

(3)
Density functional theory data (GGA-PBE) for crystalline Cs2Cu2Sb2Se5 at its relaxed geometry.

total magnetization: 0.0 μB/cell
SG: P-1 (2)
total energy: -3.80 eV per atom
V: 351.5 Å³/f.u.
calculated formation energy: -73.5 kJ/mol of atoms
energy with MP2020 corrections: -4.010 eV/atom

abc: 7.753 8.924 10.438
angles: 91.77 91.79 102.92
Fractional positions:
1 Cs 0.235 0.443 0.387
2 Cs 0.236 0.304 0.906
3 Cs 0.764 0.696 0.094
4 Cs 0.765 0.557 0.613
5 Cu 0.097 0.992 0.612
6 Cu 0.372 0.863 0.569
7 Cu 0.628 0.137 0.431
8 Cu 0.903 0.008 0.388
9 Sb 0.301 0.860 0.882
10 Sb 0.316 0.922 0.261
11 Sb 0.684 0.078 0.739
12 Sb 0.699 0.140 0.118
13 Se 0.013 0.116 0.186
14 Se 0.073 0.804 0.424
15 Se 0.245 0.684 0.088
16 Se 0.357 0.658 0.719
17 Se 0.418 0.155 0.612
18 Se 0.582 0.845 0.388
19 Se 0.643 0.342 0.281
20 Se 0.755 0.316 0.912
21 Se 0.927 0.196 0.576
22 Se 0.987 0.884 0.814

---

(4)
Density functional theory data (GGA-PBE) for crystalline CsSm2CuSe4 at its relaxed geometry.

total magnetization: 0.0 μB/cell
SG: Cmcm (63)
total energy: -5.04 eV per atom
V: 231.1 Å³/f.u.
calculated formation energy: -166.7 kJ/mol of atoms
energy with MP2020 corrections: -5.280 eV/atom

abc: 7.732 7.732 14.680
angles: 90.00 90.00 148.22
Fractional positions:
1 Cs 0.107 0.893 0.750
2 Cs 0.893 0.107 0.250
3 Sm 0.366 0.634 0.562
4 Sm 0.366 0.634 0.938
5 Sm 0.634 0.366 0.062
6 Sm 0.634 0.366 0.438
7 Cu 0.166 0.834 0.250
8 Cu 0.834 0.166 0.750
9 Se 0.000 0.000 0.000
10 Se 0.000 0.000 0.500
11 Se 0.259 0.741 0.109
12 Se 0.259 0.741 0.391
13 Se 0.422 0.578 0.750
14 Se 0.578 0.422 0.250
15 Se 0.741 0.259 0.609
16 Se 0.741 0.259 0.891

---

(5)
Density functional theory data (GGA-PBE) for crystalline CsVCu3Se4 at its relaxed geometry.

total magnetization: 1.0 μB/cell
SG: R3m (160)
total energy: -4.42 eV per atom
V: 246.8 Å³/f.u.
calculated formation energy: -57.8 kJ/mol of atoms
energy with MP2020 corrections: -4.628 eV/atom

abc: 6.272 6.272 6.272
angles: 89.96 89.96 89.96
Fractional positions:
1 Cs 0.000 0.000 0.000
2 V 0.500 0.500 0.500
3 Cu 0.000 0.500 0.500
4 Cu 0.500 0.000 0.500
5 Cu 0.500 0.500 0.000
6 Se 0.287 0.287 0.713
7 Se 0.287 0.713 0.287
8 Se 0.713 0.287 0.287
9 Se 0.713 0.713 0.713

---

(6)
Density functional theory data (GGA-PBE) for crystalline CsZrCu3Se4 at its relaxed geometry.

total magnetization: 0.0 μB/cell
SG: P-43m (215)
total energy: -4.51 eV per atom
V: 268.4 Å³/f.u.
calculated formation energy: -72.8 kJ/mol of atoms
energy with MP2020 corrections: -4.724 eV/atom

abc: 6.451 6.451 6.451
angles: 90.00 90.00 90.00
Fractional positions:
1 Cs 0.000 0.000 0.000
2 Zr 0.500 0.500 0.500
3 Cu 0.000 0.500 0.500
4 Cu 0.500 0.000 0.500
5 Cu 0.500 0.500 0.000
6 Se 0.278 0.278 0.722
7 Se 0.278 0.722 0.278
8 Se 0.722 0.278 0.278
9 Se 0.722 0.722 0.722

---

(7)
Density functional theory data (GGA-PBE) for crystalline CsZrCuSe3 at its relaxed geometry.

total magnetization: 0.0 μB/cell
SG: Cmcm (63)
total energy: -5.13 eV per atom
V: 165.4 Å³/f.u.
calculated formation energy: -131.0 kJ/mol of atoms
energy with MP2020 corrections: -5.362 eV/atom

abc: 8.385 8.385 10.286
angles: 90.00 90.00 152.78
Fractional positions:
1 Cs 0.246 0.754 0.750
2 Cs 0.754 0.246 0.250
3 Zr 0.500 0.500 0.000
4 Zr 0.500 0.500 0.500
5 Cu 0.031 0.969 0.250
6 Cu 0.969 0.031 0.750
7 Se 0.112 0.888 0.052
8 Se 0.112 0.888 0.448
9 Se 0.440 0.560 0.250
10 Se 0.560 0.440 0.750
11 Se 0.888 0.112 0.552
12 Se 0.888 0.112 0.948

---

(8)
Density functional theory data (GGA-PBE) for crystalline CsTaCu2Te4 at its relaxed geometry.

total magnetization: 0.0 μB/cell
SG: Pna2_1 (33)
total energy: -4.66 eV per atom
V: 267.5 Å³/f.u.
calculated formation energy: -66.1 kJ/mol of atoms
energy with MP2020 corrections: -4.875 eV/atom

abc: 8.364 21.130 6.055
angles: 90.00 90.00 90.00
Fractional positions:
1 Cs 0.206 0.062 0.000
2 Cs 0.294 0.562 0.500
3 Cs 0.706 0.438 0.000
4 Cs 0.794 0.938 0.500
5 Ta 0.205 0.352 0.244
6 Ta 0.295 0.852 0.744
7 Ta 0.705 0.148 0.244
8 Ta 0.795 0.648 0.744
9 Cu 0.037 0.753 0.751
10 Cu 0.206 0.352 0.744
11 Cu 0.294 0.852 0.244
12 Cu 0.463 0.253 0.251
13 Cu 0.537 0.747 0.751
14 Cu 0.706 0.148 0.744
15 Cu 0.794 0.648 0.244
16 Cu 0.963 0.247 0.251
17 Te 0.036 0.856 0.995
18 Te 0.051 0.651 0.997
19 Te 0.193 0.454 0.994
20 Te 0.212 0.249 0.987
21 Te 0.288 0.749 0.487
22 Te 0.307 0.954 0.494
23 Te 0.449 0.151 0.497
24 Te 0.464 0.356 0.495
25 Te 0.536 0.644 0.995
26 Te 0.551 0.849 0.997
27 Te 0.693 0.046 0.994
28 Te 0.712 0.251 0.987
29 Te 0.788 0.751 0.487
30 Te 0.807 0.546 0.494
31 Te 0.949 0.349 0.497
32 Te 0.964 0.144 0.495

---

(9)
Density functional theory data (GGA-PBE) for crystalline CsY2CuTe4 at its relaxed geometry.

total magnetization: 0.0 μB/cell
SG: C2/m (12)
total energy: -4.93 eV per atom
V: 284.3 Å³/f.u.
calculated formation energy: -127.7 kJ/mol of atoms
energy with MP2020 corrections: -5.137 eV/atom

abc: 18.896 18.896 21.038
angles: 107.85 107.85 13.81
Fractional positions:
1 Cs 0.017 0.017 0.248
2 Cs 0.111 0.111 0.452
3 Cs 0.239 0.239 0.115
4 Cs 0.761 0.761 0.885
5 Cs 0.889 0.889 0.548
6 Cs 0.983 0.983 0.752
7 Y 0.000 0.000 0.000
8 Y 0.000 0.000 0.500
9 Y 0.122 0.122 0.862
10 Y 0.167 0.167 0.279
11 Y 0.241 0.241 0.583
12 Y 0.369 0.369 0.310
13 Y 0.398 0.398 0.974
14 Y 0.602 0.602 0.026
15 Y 0.631 0.631 0.690
16 Y 0.759 0.759 0.417
17 Y 0.833 0.833 0.721
18 Y 0.878 0.878 0.138
19 Cu 0.201 0.201 0.680
20 Cu 0.391 0.391 0.827
21 Cu 0.452 0.452 0.360
22 Cu 0.548 0.548 0.640
23 Cu 0.609 0.609 0.173
24 Cu 0.799 0.799 0.320
25 Te 0.062 0.062 0.935
26 Te 0.080 0.080 0.605
27 Te 0.140 0.140 0.130
28 Te 0.176 0.176 0.781
29 Te 0.208 0.208 0.432
30 Te 0.276 0.276 0.732
31 Te 0.318 0.318 0.400
32 Te 0.336 0.336 0.041
33 Te 0.383 0.383 0.702
34 Te 0.424 0.424 0.226
35 Te 0.461 0.461 0.905
36 Te 0.477 0.477 0.581
37 Te 0.523 0.523 0.419
38 Te 0.539 0.539 0.095
39 Te 0.576 0.576 0.774
40 Te 0.617 0.617 0.298
41 Te 0.664 0.664 0.959
42 Te 0.682 0.682 0.600
43 Te 0.724 0.724 0.268
44 Te 0.792 0.792 0.568
45 Te 0.824 0.824 0.219
46 Te 0.860 0.860 0.870
47 Te 0.920 0.920 0.395
48 Te 0.938 0.938 0.065

---

(10)
Density functional theory data (GGA-PBE) for crystalline Cs3DyO3 at its relaxed geometry.

SG: P2_1/c (14)
total energy: -5.07 eV per atom
V: 203.8 Å³/f.u.
ΔE to the lowest computed polymorph: 0 meV/atom
calculated formation energy: -212.1 kJ/mol of atoms
energy with MP2020 corrections: -5.361 eV/atom

abc: 7.983 15.108 7.565
angles: 90.00 116.67 90.00
Fractional positions:
1 Cs 0.034 0.188 0.409
2 Cs 0.034 0.312 0.909
3 Cs 0.227 0.045 0.986
4 Cs 0.227 0.455 0.486
5 Cs 0.420 0.697 0.638
6 Cs 0.420 0.803 0.138
7 Cs 0.580 0.197 0.862
8 Cs 0.580 0.303 0.362
9 Cs 0.773 0.545 0.514
10 Cs 0.773 0.955 0.014
11 Cs 0.966 0.688 0.091
12 Cs 0.966 0.812 0.591
13 Dy 0.336 0.560 0.012
14 Dy 0.336 0.940 0.512
15 Dy 0.664 0.060 0.488
16 Dy 0.664 0.440 0.988
17 O 0.137 0.635 0.769
18 O 0.137 0.865 0.269
19 O 0.317 0.595 0.276
20 O 0.317 0.905 0.776
21 O 0.382 0.082 0.462
22 O 0.382 0.418 0.962
23 O 0.618 0.582 0.038
24 O 0.618 0.918 0.538
25 O 0.683 0.095 0.224
26 O 0.683 0.405 0.724
27 O 0.863 0.135 0.731
28 O 0.863 0.365 0.231

---

(11)
Density functional theory data (GGA-PBE) for crystalline Cs3DyO3 at its relaxed geometry.

SG: C2/m (12)
total energy: -5.06 eV per atom
V: 196.3 Å³/f.u.
ΔE to the lowest computed polymorph: 3 meV/atom
calculated formation energy: -211.8 kJ/mol of atoms
energy with MP2020 corrections: -5.358 eV/atom

abc: 7.634 7.634 7.668
angles: 95.92 95.92 116.38
Fractional positions:
1 Cs 0.211 0.789 0.000
2 Cs 0.261 0.739 0.500
3 Cs 0.358 0.358 0.150
4 Cs 0.642 0.642 0.850
5 Cs 0.739 0.261 0.500
6 Cs 0.789 0.211 0.000
7 Dy 0.174 0.174 0.650
8 Dy 0.826 0.826 0.350
9 O 0.100 0.100 0.357
10 O 0.168 0.438 0.766
11 O 0.438 0.168 0.766
12 O 0.562 0.832 0.234
13 O 0.832 0.562 0.234
14 O 0.900 0.900 0.643

---

(12)
Density functional theory data (GGA-PBE) for crystalline CsDyO2 at its relaxed geometry.

SG: P6_3/mmc (194)
total energy: -6.47 eV per atom
V: 75.5 Å³/f.u.
calculated formation energy: -286.3 kJ/mol of atoms
energy with MP2020 corrections: -6.816 eV/atom

abc: 3.562 3.562 13.750
angles: 90.00 90.00 120.00
Fractional positions:
1 Cs 0.333 0.667 0.250
2 Cs 0.667 0.333 0.750
3 Dy 0.000 0.000 0.000
4 Dy 0.000 0.000 0.500
5 O 0.333 0.667 0.582
6 O 0.333 0.667 0.918
7 O 0.667 0.333 0.082
8 O 0.667 0.333 0.418